Entry 1:
Computed, not measured: crystalline MgCr2O4 at its relaxed geometry at the PBE+U level of DFT.

Cell and atoms, written as POSCAR:
```
MgCr2O4
1.0
2.926 0.000 0.000
0.000 9.670 0.000
0.000 0.000 9.818
Mg O Cr
4 16 8
Direct
0.788 0.641 0.250
0.212 0.359 0.750
0.212 0.141 0.250
0.788 0.859 0.750
0.757 0.480 0.614
0.718 0.287 0.250
0.243 0.980 0.614
0.757 0.480 0.886
0.238 0.250 0.500
0.762 0.750 0.000
0.762 0.750 0.500
0.243 0.980 0.886
0.282 0.787 0.250
0.757 0.020 0.386
0.718 0.213 0.750
0.757 0.020 0.114
0.282 0.713 0.750
0.243 0.520 0.386
0.243 0.520 0.114
0.238 0.250 0.000
0.740 0.117 0.572
0.260 0.617 0.928
0.260 0.883 0.072
0.740 0.117 0.928
0.260 0.617 0.572
0.740 0.383 0.072
0.260 0.883 0.428
0.740 0.383 0.428
```

## Properties
* crystal system: orthorhombic
* energy above the lowest structure with this stoichiometry: 2.93 kcal/mol of atoms
* space group: Pbcm
* total magnetization: 24.00 μB/cell

Entry 2:
Computed, not measured: crystalline Li2MnF4 at its relaxed geometry at the PBE+U level of DFT.

Cell and atoms, written as POSCAR:
```
Li2MnF4
1.0
5.483 0.000 0.000
0.000 6.010 0.000
0.000 3.119 10.183
Li F Mn
8 16 4
Direct
0.246 0.114 0.205
0.354 0.827 0.573
0.146 0.827 0.073
0.746 0.886 0.295
0.854 0.173 0.927
0.254 0.114 0.705
0.646 0.173 0.427
0.754 0.886 0.795
0.340 0.156 0.528
0.554 0.677 0.731
0.319 0.643 0.996
0.819 0.357 0.504
0.547 0.166 0.796
0.946 0.677 0.231
0.953 0.166 0.296
0.660 0.844 0.472
0.681 0.357 0.004
0.160 0.156 0.028
0.446 0.323 0.269
0.047 0.834 0.704
0.181 0.643 0.496
0.453 0.834 0.204
0.840 0.844 0.972
0.054 0.323 0.769
0.140 0.410 0.383
0.360 0.410 0.883
0.860 0.590 0.617
0.640 0.590 0.117
```

## Properties
* crystal system: monoclinic
* energy above the lowest structure with this stoichiometry: 0.76 kcal/mol of atoms
* space group: P2_1/c
* total magnetization: 20.00 μB/cell

Entry 3:
Computed, not measured: crystalline MgW2O4 at its relaxed geometry at the PBE+U level of DFT.

Cell and atoms, written as POSCAR:
```
MgW2O4
1.0
-2.665 1.020 0.220
-2.381 -7.496 5.890
2.893 5.734 8.467
Mg W O
4 8 16
Direct
0.258 0.668 0.250
0.742 0.168 0.250
0.742 0.332 0.750
0.258 0.832 0.750
0.245 0.410 0.063
0.245 0.090 0.937
0.245 0.090 0.563
0.755 0.910 0.063
0.755 0.590 0.563
0.755 0.590 0.937
0.245 0.410 0.437
0.755 0.910 0.437
0.748 0.250 0.500
0.746 0.943 0.866
0.254 0.057 0.366
0.759 0.820 0.250
0.254 0.443 0.634
0.252 0.750 0.000
0.759 0.680 0.750
0.746 0.557 0.366
0.748 0.250 0.000
0.241 0.320 0.250
0.252 0.750 0.500
0.241 0.180 0.750
0.746 0.557 0.134
0.746 0.943 0.634
0.254 0.443 0.866
0.254 0.057 0.134
```

## Properties
* crystal system: orthorhombic
* energy above the lowest structure with this stoichiometry: 7.60 kcal/mol of atoms
* space group: Pbcm
* total magnetization: 3.30 μB/cell

| no. | energy with MP2020 corrections (eV per atom) |
| --- | --- |
| 1 | -8.320 |
| 2 | -5.973 |
| 3 | -8.340 |